(1)
## Na10Zr4Nb4Si11SO48 (PBE-GGA)

Data for a geometry-optimized Na10Zr4Nb4Si11SO48 structure.

Values from the calculation:
VASP energy, eV per atom: -7.60
Space group: P1 (1)
Total moment, μB per cell: 0.00
E (MP2020), eV/atom: -8.025

Cell lengths 18.2179, 9.1205, 22.8244 Å; angles 90.01, 89.95, 119.98 degrees
Last column: nearest neighbours and their distance in Å.
Fractional coordinates of all 234 atoms:
1 O 0.9865 0.7943 0.8066  1 Si 1.65
2 O 0.5694 0.4945 0.8578  1 Si 1.65
3 O 0.5815 0.6881 0.4763  1 Si 1.65
4 O 0.6549 0.8477 0.2524  1 S 1.49
5 Si 0.3340 0.6242 0.5835  4 O 1.61-1.66
6 O 0.7537 0.3626 0.4271  1 Si 1.64
7 Na 0.1683 0.6654 0.6727  4 O 2.41-2.69
8 Na 0.4829 0.3037 0.4139  5 O 2.43-2.70
9 Si 0.9997 0.2963 0.2498  4 O 1.63-1.65
10 O 0.1024 0.0129 0.3032  1 S 1.48
11 O 0.5753 0.5021 0.5767  1 Si 1.63
12 Si 0.3085 0.9608 0.4156  4 O 1.62-1.66
13 O 0.4417 0.5036 0.1387  1 Si 1.63
14 O 0.6898 0.4975 0.3619  1 Si 1.63
15 Si 0.0013 0.7029 0.7488  4 O 1.61-1.67
16 O 0.4016 0.8172 0.1922  1 Si 1.65
17 O 0.3266 0.5033 0.9240  1 Si 1.63
18 O 0.0705 0.5097 0.5789  1 Si 1.64
19 Na 0.8345 0.3473 0.3290  3 O 2.38-2.61
20 O 0.2296 0.3029 0.7477  1 S 1.47
21 O 0.9260 0.3549 0.9248  1 Si 1.67
22 Si 0.1685 0.3737 0.4189  4 O 1.62-1.66
23 O 0.7596 0.8237 0.7566  1 Si 1.66
24 O 0.7624 0.6864 0.9724  1 Si 1.64
25 Na 0.3316 0.6967 0.0857  5 O 2.43-2.71
26 O 0.0936 0.1732 0.0847  1 Si 1.62
27 O 0.0079 0.2019 0.1905  1 Si 1.65
28 Nb 0.8330 0.3310 0.6881  6 O 1.96-2.08
29 O 0.9157 0.8044 0.5865  1 Si 1.65
30 Na 0.8217 0.0002 0.2504  2 O 2.33
31 O 0.4025 0.9746 0.4146  1 Si 1.65
32 Nb 0.8305 0.3266 0.4805  6 O 1.93-2.06
33 Na 0.3497 0.6666 0.4149  5 O 2.45-2.65
34 O 0.9018 0.8288 0.9120  1 Si 1.64
35 Na 0.9849 0.6606 0.9128  5 O 2.44-2.71
36 O 0.5735 0.6385 0.0738  1 Si 1.64
37 O 0.0959 0.9869 0.1969  1 S 1.48
38 O 0.9076 0.0261 0.8096  1 Si 1.63
39 Si 0.4817 0.3346 0.5845  4 O 1.63-1.66
40 Na 0.8490 0.6665 0.4151  5 O 2.44-2.66
41 O 0.7395 0.3179 0.7436  1 Si 1.63
42 Nb 0.3346 0.3408 0.9783  6 O 1.94-2.08
43 O 0.5100 0.8299 0.6933  1 Si 1.65
44 O 0.4848 0.8067 0.0853  1 Si 1.62
45 O 0.7365 0.1618 0.5268  1 Si 1.65
46 O 0.2665 0.6932 0.9739  1 Si 1.66
47 O 0.3171 0.1229 0.1433  1 Si 1.62
48 Si 0.3293 0.0426 0.0832  4 O 1.62-1.66
49 O 0.3381 0.5130 0.2478  1 Si 1.63
50 O 0.2530 0.6339 0.8592  1 Si 1.61
51 O 0.1803 0.8548 0.5752  1 Si 1.66
52 O 0.7619 0.7071 0.2513  1 Si 1.65
53 O 0.9385 0.5001 0.1358  1 Si 1.64
54 Na 0.9834 0.3049 0.4131  5 O 2.45-2.69
55 Na 0.3333 0.9689 0.5867  5 O 2.42-2.69
56 O 0.4410 0.3635 0.6439  1 Si 1.63
57 O 0.4175 0.5219 0.7486  1 Si 1.62
58 O 0.0062 0.8271 0.4159  1 Si 1.63
59 O 0.4201 0.3103 0.5277  1 Si 1.66
60 O 0.9287 0.3647 0.6389  1 Si 1.65
61 Nb 0.8302 0.3308 0.9783  6 O 1.92-2.07
62 O 0.4194 0.5248 0.0257  1 Si 1.64
63 O 0.9197 0.3100 0.5250  1 Si 1.65
64 Si 0.1688 0.9627 0.9174  4 O 1.63-1.66
65 Si 0.1885 0.0428 0.5833  4 O 1.62-1.66
66 Zr 0.9983 0.0025 0.1440  6 O 2.04-2.21
67 O 0.9065 0.7969 0.3095  1 Si 1.65
68 O 0.5961 0.9872 0.1968  1 S 1.48
69 Si 0.0212 0.6660 0.4200  4 O 1.62-1.66
70 Si 0.4997 0.2967 0.2499  4 O 1.63-1.65
71 O 0.6556 0.8369 0.9732  1 Si 1.64
72 O 0.0773 0.6836 0.4790  1 Si 1.65
73 Si 0.9811 0.6257 0.0794  4 O 1.62-1.67
74 O 0.5926 0.1724 0.0843  1 Si 1.62
75 O 0.4067 0.7972 0.3098  1 Si 1.65
76 Nb 0.1686 0.6701 0.0188  6 O 1.94-2.05
77 O 0.8162 0.1216 0.1434  1 Si 1.62
78 Nb 0.5014 0.0005 0.8547  6 O 1.93-2.07
79 Zr 0.9981 0.9933 0.6448  6 O 2.02-2.19
80 Si 0.6435 0.2869 0.7499  4 O 1.63-1.66
81 O 0.5083 0.2032 0.1904  1 Si 1.65
82 O 0.9258 0.4947 0.4261  1 Si 1.66
83 Si 0.8292 0.6165 0.5839  4 O 1.63-1.65
84 O 0.2589 0.8360 0.4722  1 Si 1.66
85 Na 0.0153 0.0156 0.4989  5 O 2.41-2.69
86 O 0.1888 0.8805 0.8605  1 Si 1.63
87 O 0.3521 0.1727 0.7477  1 Si 1.64
88 O 0.9930 0.1823 0.3081  1 Si 1.65
89 O 0.6505 0.4747 0.7555  1 Si 1.66
90 O 0.3274 0.1551 0.4247  1 Si 1.64
91 O 0.8961 0.9683 0.6928  1 Si 1.64
92 Na 0.1613 0.6544 0.1699  5 O 2.41-2.69
93 O 0.8441 0.5241 0.5271  1 Si 1.64
94 O 0.2557 0.8793 0.3560  1 Si 1.62
95 Na 0.3307 0.3483 0.8336  6 O 2.50-2.68
96 O 0.6791 0.5055 0.0735  1 Si 1.65
97 O 0.7620 0.8372 0.4744  1 Si 1.65
98 O 0.4849 0.1580 0.5876  1 Si 1.64
99 O 0.0929 0.0140 0.5851  1 Si 1.63
100 O 0.4085 0.2931 0.2487  1 Si 1.65
101 O 0.0814 0.1938 0.4150  1 Si 1.62
102 O 0.9018 0.8174 0.1917  1 Si 1.65
103 O 0.2511 0.3740 0.1373  1 Si 1.62
104 Zr 0.1651 0.6532 0.3150  5 O 2.00-2.13
105 S 0.1452 0.9998 0.2500  4 O 1.48-1.49
106 O 0.1016 0.1873 0.8030  1 S 1.48
107 O 0.0648 0.5047 0.8632  1 Si 1.62
108 Zr 0.8384 0.3466 0.1849  5 O 2.00-2.14
109 Na 0.8186 0.6370 0.7489  4 O 2.40-2.66
110 O 0.2395 0.3159 0.0243  1 Si 1.64
111 O 0.7544 0.1365 0.9218  1 Si 1.65
112 Si 0.0223 0.3768 0.9179  4 O 1.62-1.67
113 O 0.0647 0.6257 0.3649  1 Si 1.62
114 O 0.1555 0.4752 0.4749  1 Si 1.66
115 O 0.0737 0.6389 0.0741  1 Si 1.63
116 O 0.5810 0.1952 0.4155  1 Si 1.62
117 Na 0.3507 0.0362 0.9155  4 O 2.40-2.52
118 O 0.6026 0.0131 0.3032  1 S 1.48
119 O 0.1526 0.4575 0.7530  1 S 1.48
120 O 0.1893 0.4970 0.3621  1 Si 1.63
121 O 0.7522 0.6410 0.8563  1 Si 1.64
122 O 0.4151 0.0233 0.0857  1 Si 1.66
123 Na 0.4985 0.3650 0.7492  5 O 2.35-2.62
124 Nb 0.5009 0.9979 0.6458  6 O 1.95-2.10
125 Zr 0.4966 0.9974 0.3560  6 O 2.03-2.22
126 O 0.2500 0.1265 0.6394  1 Si 1.62
127 Si 0.9785 0.3363 0.5834  4 O 1.62-1.65
128 Na 0.6595 0.6675 0.6636  6 O 2.50-2.70
129 Si 0.5221 0.3774 0.9158  4 O 1.64-1.65
130 O 0.9839 0.8058 0.0843  1 Si 1.62
131 Si 0.8524 0.0008 0.7502  4 O 1.63-1.66
132 Na 0.8329 0.9616 0.5824  4 O 2.38-2.55
133 O 0.4264 0.3503 0.9217  1 Si 1.64
134 O 0.5838 0.6907 0.7570  1 Si 1.66
135 O 0.6794 0.8575 0.8601  1 Si 1.65
136 O 0.8224 0.4945 0.9198  1 Si 1.64
137 O 0.2540 0.1466 0.9257  1 Si 1.63
138 O 0.4165 0.8169 0.5893  1 Si 1.65
139 Si 0.8288 0.0407 0.0838  4 O 1.62-1.66
140 Zr 0.3388 0.3468 0.1851  5 O 2.00-2.14
141 O 0.8405 0.1664 0.7425  1 Si 1.64
142 O 0.9107 0.5195 0.7433  1 Si 1.67
143 O 0.0813 0.4867 0.2526  1 Si 1.63
144 S 0.6453 0.0001 0.2499  4 O 1.48-1.49
145 O 0.2310 0.1521 0.2476  1 S 1.49
146 O 0.9199 0.5282 0.0218  1 Si 1.67
147 Zr 0.1691 0.6776 0.8140  5 O 2.01-2.12
148 O 0.5816 0.4868 0.2525  1 Si 1.63
149 O 0.3452 0.1661 0.0264  1 Si 1.65
150 O 0.2617 0.7064 0.2518  1 Si 1.65
151 Si 0.4812 0.6262 0.0815  4 O 1.62-1.64
152 O 0.7505 0.3749 0.1367  1 Si 1.62
153 O 0.1559 0.8350 0.9730  1 Si 1.66
154 O 0.2396 0.1640 0.5267  1 Si 1.65
155 O 0.8192 0.5052 0.6427  1 Si 1.64
156 O 0.8382 0.5134 0.2474  1 Si 1.63
157 O 0.9822 0.1631 0.5891  1 Si 1.62
158 Si 0.8513 0.7034 0.2500  4 O 1.63-1.65
159 Na 0.8314 0.6965 0.0865  5 O 2.44-2.69
160 O 0.5822 0.1934 0.6933  1 Si 1.64
161 O 0.4045 0.8438 0.9107  1 Si 1.65
162 O 0.7555 0.8772 0.3569  1 Si 1.62
163 O 0.4277 0.4954 0.4262  1 Si 1.65
164 O 0.0064 0.1846 0.9143  1 Si 1.63
165 O 0.3459 0.5326 0.5247  1 Si 1.65
166 Nb 0.6640 0.6644 0.5218  6 O 1.92-2.09
167 O 0.7311 0.1524 0.2474  1 S 1.49
168 O 0.2632 0.8256 0.7513  1 Si 1.62
169 O 0.7510 0.1424 0.6400  1 Si 1.64
170 Si 0.6651 0.9553 0.9162  4 O 1.62-1.65
171 Na 0.5133 0.3313 0.0848  5 O 2.46-2.66
172 Na 0.5120 0.9966 0.9986  5 O 2.43-2.68
173 O 0.1544 0.8470 0.2525  1 S 1.49
174 O 0.0094 0.8155 0.6904  1 Si 1.64
175 Zr 0.6652 0.6531 0.3150  5 O 2.00-2.14
176 Na 0.0170 0.7017 0.5838  6 O 2.40-2.68
177 O 0.0807 0.9663 0.9133  1 Si 1.63
178 Na 0.8523 0.0351 0.9168  5 O 2.39-2.66
179 Na 0.3346 0.3466 0.3296  3 O 2.39-2.62
180 Nb 0.6649 0.6697 0.8117  6 O 1.94-2.10
181 O 0.9157 0.0261 0.0850  1 Si 1.65
182 Si 0.1893 0.3341 0.0813  4 O 1.62-1.66
183 Na 0.0173 0.3356 0.0850  5 O 2.43-2.67
184 O 0.0793 0.4700 0.9767  1 Si 1.65
185 O 0.8414 0.1632 0.0266  1 Si 1.66
186 Si 0.3549 0.9962 0.7497  4 O 1.62-1.67
187 Na 0.3218 0.9998 0.2496  2 O 2.33
188 O 0.4152 0.0187 0.8077  1 Si 1.67
189 O 0.5070 0.8284 0.4156  1 Si 1.62
190 O 0.5826 0.9772 0.9111  1 Si 1.62
191 O 0.5950 0.0253 0.5909  1 Si 1.62
192 S 0.1453 0.2882 0.7501  4 O 1.47-1.49
193 O 0.2546 0.3620 0.4266  1 Si 1.63
194 O 0.5643 0.6265 0.3634  1 Si 1.62
195 Nb 0.1670 0.6638 0.5213  6 O 1.94-2.08
196 Si 0.5217 0.6673 0.4189  4 O 1.62-1.65
197 Si 0.4986 0.7122 0.7513  4 O 1.62-1.66
198 O 0.7498 0.6509 0.5784  1 Si 1.63
199 Si 0.3127 0.6656 0.9153  4 O 1.61-1.66
200 Na 0.5145 0.0025 0.5019  5 O 2.45-2.65
201 Si 0.8082 0.9569 0.4166  4 O 1.62-1.65
202 O 0.1805 0.5057 0.0741  1 Si 1.66
203 Si 0.6875 0.3341 0.0815  4 O 1.62-1.66
204 Si 0.6880 0.0443 0.5846  4 O 1.62-1.65
205 Na 0.0169 0.0165 0.0004  4 O 2.39-2.56
206 O 0.5802 0.4718 0.9737  1 Si 1.64
207 O 0.7500 0.8471 0.0744  1 Si 1.64
208 O 0.4058 0.9856 0.6907  1 Si 1.66
209 O 0.5098 0.1871 0.9101  1 Si 1.64
210 O 0.9033 0.9756 0.4146  1 Si 1.65
211 O 0.4933 0.1827 0.3081  1 Si 1.65
212 O 0.4920 0.8143 0.8084  1 Si 1.64
213 Nb 0.3334 0.3324 0.4820  6 O 1.92-2.05
214 O 0.6571 0.4798 0.4749  1 Si 1.65
215 O 0.0949 0.2022 0.6970  1 S 1.49
216 Zr 0.3363 0.3346 0.6860  5 O 2.03-2.16
217 O 0.2521 0.6545 0.5753  1 Si 1.66
218 Na 0.6604 0.6531 0.1712  3 O 2.37-2.60
219 Si 0.8078 0.6573 0.9150  4 O 1.64
220 Na 0.8293 0.3209 0.8301  6 O 2.51-2.71
221 Si 0.6678 0.3756 0.4193  4 O 1.62-1.65
222 O 0.2498 0.8483 0.0753  1 Si 1.65
223 Zr 0.9966 0.9965 0.3557  6 O 2.03-2.21
224 O 0.8253 0.1508 0.4248  1 Si 1.65
225 O 0.0823 0.6758 0.7520  1 Si 1.61
226 Zr 0.4975 0.0025 0.1442  6 O 2.03-2.22
227 Si 0.3513 0.7029 0.2504  4 O 1.63-1.65
228 Nb 0.6657 0.6688 0.0188  6 O 1.94-2.05
229 O 0.7381 0.3158 0.0239  1 Si 1.66
230 O 0.6850 0.8622 0.5782  1 Si 1.64
231 Zr 0.9971 0.9961 0.8548  6 O 2.06-2.18
232 O 0.9086 0.2936 0.2483  1 Si 1.65
233 O 0.3194 0.5058 0.6397  1 Si 1.61
234 O 0.5964 0.1718 0.8079  1 Si 1.64

(2)
## NaZr3NbSi3S3O24 (PBE-GGA)

Data for a geometry-optimized NaZr3NbSi3S3O24 structure.

Values from the calculation:
VASP energy, eV per atom: -7.64
Space group: P1 (1)
Total moment, μB per cell: 0.00
E (MP2020), eV/atom: -8.110

Cell lengths 9.0008, 9.0050, 23.4508 Å; angles 89.92, 90.57, 119.81 degrees
Last column: nearest neighbours and their distance in Å.
Fractional coordinates of all 105 atoms:
1 O 0.7962 0.8211 0.9120  1 S 1.48
2 O 0.3117 0.4610 0.4673  1 S 1.46
3 Si 0.3327 0.9567 0.9162  4 O 1.63-1.66
4 O 0.1671 0.1865 0.6937  1 Si 1.65
5 Si 0.0409 0.6590 0.4168  4 O 1.63-1.66
6 O 0.1816 0.2097 0.4080  1 S 1.49
7 O 0.6374 0.1247 0.4227  1 S 1.48
8 O 0.8890 0.3709 0.6336  1 S 1.46
9 S 0.6147 0.9511 0.4170  4 O 1.48-1.50
10 O 0.1788 0.9748 0.1979  1 S 1.50
11 O 0.2036 0.0256 0.3011  1 S 1.48
12 O 0.2956 0.4718 0.7605  1 Si 1.61
13 O 0.0138 0.1793 0.1947  1 Si 1.67
14 O 0.1359 0.4859 0.5727  1 S 1.52
15 O 0.7079 0.1820 0.7424  1 Si 1.62
16 O 0.9699 0.7896 0.8009  1 S 1.49
17 O 0.7051 0.1528 0.0331  1 S 1.48
18 S 0.2868 0.0031 0.2505  4 O 1.47-1.50
19 O 0.5360 0.8457 0.4685  1 S 1.48
20 O 0.4777 0.3129 0.7446  1 Si 1.64
21 O 0.5121 0.8694 0.3649  1 S 1.48
22 O 0.4982 0.6462 0.5657  1 Si 1.67
23 O 0.8689 0.3580 0.9239  1 S 1.49
24 O 0.8528 0.4890 0.4227  1 Si 1.63
25 Na 0.6843 0.3389 0.3348  5 O 2.51-2.76
26 Si 0.3823 0.3398 0.0840  4 O 1.59-1.71
27 Na 0.6530 0.3136 0.8298  6 O 2.53-2.83
28 O 0.3053 0.8488 0.2569  1 S 1.49
29 O 0.6340 0.5042 0.6380  1 Si 1.60
30 Nb 0.9978 0.0022 0.6458  6 O 1.92-2.15
31 O 0.8327 0.5388 0.0274  1 Si 1.62
32 O 0.4639 0.1608 0.5258  1 Si 1.63
33 S 0.0417 0.3770 0.9165  4 O 1.46-1.50
34 O 0.3631 0.4880 0.3643  1 S 1.49
35 Nb 0.0127 0.0139 0.1432  4 O 1.86-2.08
36 O 0.1824 0.0181 0.5960  1 Si 1.62
37 O 0.4886 0.3510 0.1415  1 Si 1.62
38 Si 0.6677 0.6276 0.5845  4 O 1.60-1.67
39 O 0.9711 0.8167 0.0977  1 Si 1.68
40 O 0.4570 0.2893 0.0288  1 Si 1.63
41 O 0.9806 0.1824 0.5902  1 S 1.48
42 Zr 0.6453 0.3229 0.6877  4 O 1.98-2.07
43 S 0.6231 0.6693 0.9170  4 O 1.47-1.51
44 O 0.8229 0.7927 0.3024  1 S 1.49
45 O 0.8308 0.8175 0.5968  1 Si 1.63
46 O 0.1517 0.6964 0.7559  1 S 1.48
47 O 0.8461 0.5410 0.7420  1 S 1.47
48 O 0.3160 0.8435 0.9730  1 Si 1.64
49 O 0.6926 0.5397 0.2455  1 S 1.50
50 S 0.3353 0.3820 0.4164  4 O 1.46-1.49
51 O 0.8526 0.3057 0.5314  1 S 1.49
52 O 0.1217 0.4783 0.8655  1 S 1.46
53 S 0.9971 0.7122 0.7489  4 O 1.47-1.49
54 Nb 0.3282 0.6765 0.5265  4 O 1.83-2.05
55 O 0.7876 0.9665 0.4106  1 S 1.50
56 Na 0.0115 0.9936 0.9943  3 O 2.38-2.64
57 O 0.1852 0.1641 0.0949  1 Si 1.71, 1 Nb 1.86
58 Zr 0.6528 0.3335 0.9800  4 O 1.98-2.15
59 O 0.5418 0.6877 0.9686  1 S 1.47
60 O 0.8685 0.5093 0.1398  1 Si 1.64
61 O 0.9734 0.1628 0.3063  1 Si 1.62
62 O 0.4880 0.3589 0.4210  1 S 1.49
63 Zr 0.6673 0.3457 0.4842  3 O 1.93-2.10
64 O 0.5332 0.8384 0.7554  1 Si 1.63
65 O 0.8308 0.0248 0.8071  1 Si 1.63
66 Zr 0.3134 0.6541 0.3092  3 O 1.94-2.17
67 O 0.3522 0.8600 0.8605  1 Si 1.63
68 O 0.5065 0.1479 0.9226  1 Si 1.66
69 O 0.8270 0.0241 0.0925  1 S 1.52
70 Si 0.7211 0.0099 0.7497  4 O 1.62-1.66
71 O 0.1477 0.4557 0.9690  1 S 1.50
72 Si 0.9916 0.2796 0.2511  4 O 1.62-1.67
73 O 0.0228 0.8195 0.6976  1 S 1.49
74 O 0.6456 0.1236 0.1355  1 S 1.48
75 O 0.1601 0.9755 0.9136  1 Si 1.64
76 S 0.9597 0.3342 0.5834  4 O 1.46-1.52
77 O 0.0280 0.8312 0.4059  1 Si 1.63
78 O 0.1385 0.6377 0.3607  1 Si 1.65
79 O 0.3513 0.8556 0.5701  1 Si 1.70, 1 Nb 1.83
80 O 0.4577 0.1550 0.2442  1 S 1.47
81 O 0.7031 0.5433 0.5275  1 Si 1.65
82 O 0.1663 0.4661 0.2575  1 Si 1.64
83 S 0.6703 0.0441 0.0839  4 O 1.46-1.52
84 O 0.4980 0.1253 0.6376  1 Si 1.61
85 Zr 0.6789 0.3464 0.1848  3 O 1.93-2.08
86 O 0.7957 0.8171 0.1991  1 S 1.47
87 O 0.0221 0.2018 0.9129  1 S 1.50
88 Zr 0.3187 0.6672 0.0232  4 O 1.97-2.16
89 Zr 0.3489 0.6847 0.8054  4 O 1.95-2.16
90 Si 0.2866 0.2911 0.7497  4 O 1.61-1.65
91 O 0.8166 0.9831 0.6935  1 Si 1.66
92 O 0.8230 0.3011 0.2448  1 Si 1.63
93 O 0.1661 0.6810 0.4721  1 Si 1.66
94 O 0.5235 0.8728 0.0763  1 S 1.46
95 O 0.5178 0.6417 0.8650  1 S 1.48
96 Si 0.9527 0.6263 0.0829  4 O 1.61-1.68
97 Zr 0.9943 0.9984 0.3591  5 O 2.00-2.17
98 O 0.3563 0.4993 0.0720  1 Si 1.59
99 Zr 0.0136 0.0098 0.8512  3 O 1.93-2.08
100 Si 0.3728 0.0509 0.5828  4 O 1.61-1.70
101 O 0.2047 0.1677 0.8055  1 Si 1.64
102 S 0.7140 0.7156 0.2505  4 O 1.47-1.50
103 O 0.6426 0.5124 0.9216  1 S 1.51
104 O 0.5449 0.7005 0.2588  1 S 1.47
105 O 0.1429 0.6544 0.0756  1 Si 1.61